Nb3Tl2Cl9 | PBE | relaxed

Summary:
The calculation puts the density at 4.3 g cm⁻³. As for the calculated total energy: -137.42 eV/cell. Its formation energy is -22.6 eV/f.u.

Lattice parameters (Å, degrees): 9.9201 9.9201 9.7921 76.72 76.72 116.09
Last column: nearest neighbours and their distance in Å.
Atoms (fractional coordinates):
Cl 0.1858 0.1858 0.3319  2 Nb 2.49
Cl 0.8954 0.6877 0.9860  2 Nb 2.49
Cl 0.1046 0.3123 0.0140  2 Nb 2.49
Cl 0.7068 0.2932 0.0000  2 Nb 2.49
Cl 0.2932 0.7068 0.0000  2 Nb 2.49
Cl 0.4173 0.6248 0.6844  2 Nb 2.48
Cl 0.7601 0.7601 0.2885  1 Nb 2.61
Cl 0.6053 0.0015 0.6786  1 Nb 2.66
Cl 0.3752 0.5827 0.3156  2 Nb 2.48
Cl 0.8142 0.8142 0.6681  2 Nb 2.49
Cl 0.9985 0.3947 0.3214  1 Nb 2.66
Cl 0.2399 0.2399 0.7115  1 Nb 2.61
Cl 0.6248 0.4173 0.6844  2 Nb 2.48
Cl 0.5827 0.3752 0.3156  2 Nb 2.48
Cl 0.3123 0.1046 0.0140  2 Nb 2.49
Cl 0.0015 0.6053 0.6786  1 Nb 2.66
Cl 0.6877 0.8954 0.9860  2 Nb 2.49
Cl 0.3947 0.9985 0.3214  1 Nb 2.66
Nb 0.4546 0.2798 0.1405  5 Cl 2.48-2.66
Nb 0.5454 0.7202 0.8595  5 Cl 2.48-2.66
Nb 0.7202 0.5454 0.8595  5 Cl 2.48-2.66
Nb 0.3847 0.3847 0.8710  5 Cl 2.48-2.61
Nb 0.2798 0.4546 0.1405  5 Cl 2.48-2.66
Nb 0.6153 0.6153 0.1290  5 Cl 2.48-2.61
Tl 0.7290 0.0497 0.3290  4 Cl 3.12-3.26
Tl 0.9503 0.2710 0.6710  4 Cl 3.12-3.26
Tl 0.2710 0.9503 0.6710  4 Cl 3.12-3.26
Tl 0.0497 0.7290 0.3290  4 Cl 3.12-3.26